Here is Li7Mn4CoO12 after structural relaxation from Materials Project. Energies are from GGA+U.

Output
V, Å³ per atom: 9.223
Density, Mg/m³: 3.90
Polymorph energy (0 for the lowest one), meV/atom: 73
Formation energy from the elements, eV/atom: -2.012

abc: 5.314 2.859 14.580
angles: 90.00 92.35 90.00
Space group Pm (No. 6)
Symmetry-distinct sites (fractional):
Li (0.000, 0.000, 0.000) [1 per cell]
Li (0.000, 0.000, 0.499) [1 per cell]
Li (0.160, 0.500, 0.843) [1 per cell]
Li (0.337, 0.000, 0.159) [1 per cell]
Li (0.501, 0.500, 0.498) [1 per cell]
Li (0.662, 0.000, 0.840) [1 per cell]
Li (0.839, 0.500, 0.158) [1 per cell]
Mn (0.168, 0.500, 0.332) [1 per cell]
Mn (0.330, 0.000, 0.666) [1 per cell]
Mn (0.501, 0.500, 0.000) [1 per cell]
Mn (0.831, 0.500, 0.667) [1 per cell]
Co (0.669, 0.000, 0.333) [1 per cell]
O (0.017, 0.000, 0.257) [1 per cell]
O (0.186, 0.500, 0.588) [1 per cell]
O (0.209, 0.500, 0.075) [1 per cell]
O (0.313, 0.000, 0.410) [1 per cell]
O (0.349, 0.000, 0.924) [1 per cell]
O (0.477, 0.500, 0.741) [1 per cell]
O (0.521, 0.500, 0.262) [1 per cell]
O (0.651, 0.000, 0.076) [1 per cell]
O (0.689, 0.000, 0.588) [1 per cell]
O (0.792, 0.500, 0.925) [1 per cell]
O (0.815, 0.500, 0.408) [1 per cell]
O (0.979, 0.000, 0.743) [1 per cell]



Here is Li4Mn3CoO8 after structural relaxation from Materials Project. Energies are from GGA+U.

Output
V, Å³ per atom: 9.631
Density, Mg/m³: 4.09
Polymorph energy (0 for the lowest one), meV/atom: 26
Formation energy from the elements, eV/atom: -2.002

abc: 19.946 2.882 5.454
angles: 90.00 100.55 90.00
Space group C2/m (No. 12)
Symmetry-distinct sites (fractional):
Li (0.123, 0.000, 0.390) [4 per cell]
Li (0.126, 0.500, 0.856) [4 per cell]
Mn (0.000, 0.000, 0.000) [2 per cell]
Mn (0.248, 0.500, 0.249) [4 per cell]
Co (0.000, 0.500, 0.500) [2 per cell]
O (0.053, 0.500, 0.190) [4 per cell]
O (0.059, 0.000, 0.673) [4 per cell]
O (0.190, 0.000, 0.085) [4 per cell]
O (0.193, 0.500, 0.588) [4 per cell]



Copy entry 2 word for word.
Here is Li4Mn3CoO8 after structural relaxation from Materials Project. Energies are from GGA+U.

Output
V, Å³ per atom: 9.631
Density, Mg/m³: 4.09
Polymorph energy (0 for the lowest one), meV/atom: 26
Formation energy from the elements, eV/atom: -2.002

abc: 19.946 2.882 5.454
angles: 90.00 100.55 90.00
Space group C2/m (No. 12)
Symmetry-distinct sites (fractional):
Li (0.123, 0.000, 0.390) [4 per cell]
Li (0.126, 0.500, 0.856) [4 per cell]
Mn (0.000, 0.000, 0.000) [2 per cell]
Mn (0.248, 0.500, 0.249) [4 per cell]
Co (0.000, 0.500, 0.500) [2 per cell]
O (0.053, 0.500, 0.190) [4 per cell]
O (0.059, 0.000, 0.673) [4 per cell]
O (0.190, 0.000, 0.085) [4 per cell]
O (0.193, 0.500, 0.588) [4 per cell]